(1)
Below is an optimized crystal structure of Na5Sc2Nb2Si3P3O24, with properties calculated at the PBE level. Values from VASP.

Results
E_tot: -7.47 eV per atom
Energy of formation from the pure elements: -2.998 eV per atom

Geometry as Quantum ESPRESSO input:
```
&SYSTEM
  ibrav = 0, nat = 117, ntyp = 6
/
ATOMIC_SPECIES
Na 22.99 Na.upf
Sc 44.96 Sc.upf
Nb 92.91 Nb.upf
Si 28.09 Si.upf
P 30.97 P.upf
O 16.00 O.upf
CELL_PARAMETERS angstrom
-0.133 -8.553 -2.863
7.048 3.015 4.782
-10.315 -6.225 19.010
ATOMIC_POSITIONS crystal
Na 0.991 0.628 0.245
Na 0.369 0.010 0.746
Na 0.038 0.696 0.579
Na 0.649 0.962 0.581
Na 0.302 0.960 0.079
Na 0.036 0.351 0.083
Na 0.977 0.677 0.916
Na 0.971 0.298 0.411
Na 0.326 0.024 0.415
Na 0.992 0.990 0.494
Na 0.994 0.002 0.993
Na 0.673 0.328 0.828
Na 0.661 0.329 0.326
Na 0.354 0.661 0.162
Na 0.336 0.643 0.662
Sc 0.990 0.996 0.352
Sc 0.999 0.008 0.853
Sc 0.667 0.335 0.687
Sc 0.665 0.332 0.186
Sc 0.336 0.666 0.019
Sc 0.339 0.669 0.520
Nb 0.998 0.001 0.647
Nb 0.999 0.002 0.147
Nb 0.658 0.331 0.979
Nb 0.665 0.338 0.480
Nb 0.334 0.666 0.313
Nb 0.341 0.670 0.813
Si 0.001 0.296 0.253
Si 0.707 0.001 0.752
Si 0.372 0.043 0.586
Si 0.664 0.624 0.587
Si 0.956 0.626 0.084
Si 0.375 0.336 0.086
Si 0.335 0.962 0.919
Si 0.628 0.961 0.420
Si 0.039 0.666 0.419
P 0.293 0.000 0.252
P 0.707 0.711 0.250
P 0.287 0.292 0.751
P 0.001 0.708 0.753
P 0.955 0.330 0.583
P 0.669 0.046 0.083
P 0.623 0.663 0.917
P 0.041 0.376 0.918
P 0.338 0.381 0.417
O 0.206 0.013 0.308
O 0.819 0.794 0.305
O 0.987 0.190 0.312
O 0.206 0.179 0.805
O 0.988 0.795 0.809
O 0.822 0.017 0.807
O 0.802 0.978 0.691
O 0.171 0.198 0.695
O 0.030 0.828 0.697
O 0.801 0.826 0.194
O 0.019 0.192 0.193
O 0.172 0.972 0.196
O 0.870 0.356 0.637
O 0.491 0.125 0.643
O 0.652 0.514 0.643
O 0.876 0.508 0.142
O 0.641 0.125 0.138
O 0.487 0.352 0.142
O 0.470 0.301 0.027
O 0.835 0.527 0.025
O 0.700 0.165 0.028
O 0.473 0.165 0.526
O 0.698 0.530 0.527
O 0.841 0.300 0.526
O 0.538 0.682 0.972
O 0.138 0.457 0.976
O 0.309 0.850 0.977
O 0.544 0.857 0.479
O 0.306 0.460 0.471
O 0.149 0.689 0.477
O 0.138 0.635 0.359
O 0.498 0.855 0.362
O 0.361 0.492 0.360
O 0.141 0.497 0.864
O 0.358 0.857 0.859
O 0.510 0.641 0.861
O 0.028 0.838 0.411
O 0.823 0.001 0.414
O 0.188 0.198 0.409
O 0.015 0.197 0.912
O 0.165 0.976 0.911
O 0.805 0.812 0.911
O 0.962 0.160 0.588
O 0.182 0.028 0.590
O 0.846 0.814 0.590
O 0.973 0.817 0.090
O 0.839 0.038 0.088
O 0.186 0.154 0.090
O 0.666 0.155 0.748
O 0.465 0.312 0.744
O 0.851 0.530 0.746
O 0.688 0.535 0.243
O 0.843 0.332 0.248
O 0.470 0.149 0.245
O 0.638 0.496 0.920
O 0.866 0.374 0.919
O 0.514 0.149 0.922
O 0.631 0.148 0.421
O 0.503 0.366 0.421
O 0.854 0.486 0.422
O 0.334 0.488 0.079
O 0.149 0.658 0.078
O 0.515 0.868 0.075
O 0.339 0.850 0.579
O 0.509 0.662 0.581
O 0.132 0.484 0.576
O 0.296 0.826 0.254
O 0.530 0.701 0.254
O 0.181 0.487 0.255
O 0.296 0.468 0.756
O 0.174 0.702 0.755
O 0.515 0.819 0.756
```

=====

(2)
Below is an optimized crystal structure of Nd2FeGe4, with properties calculated at the PBE level. Values from VASP.

Results
E_tot: -5.81 eV per atom
Energy of formation from the pure elements: -0.591 eV per atom

Geometry as Quantum ESPRESSO input:
```
&SYSTEM
  ibrav = 0, nat = 7, ntyp = 3
/
ATOMIC_SPECIES
Nd 144.24 Nd.upf
Fe 55.84 Fe.upf
Ge 72.64 Ge.upf
CELL_PARAMETERS angstrom
0.000 0.000 4.260
4.317 0.000 0.000
2.159 8.064 0.000
ATOMIC_POSITIONS crystal
Nd 0.250 0.896 0.208
Nd 0.750 0.102 0.797
Fe 0.250 0.695 0.609
Ge 0.250 0.549 0.901
Ge 0.750 0.446 0.107
Ge 0.250 0.254 0.491
Ge 0.750 0.752 0.497
```

=====

(3)
Below is an optimized crystal structure of KNp2F9, with properties calculated at the PBE level. Values from VASP.

Results
E_tot: -7.09 eV per atom
Energy of formation from the pure elements: -3.746 eV per atom

Geometry as Quantum ESPRESSO input:
```
&SYSTEM
  ibrav = 0, nat = 48, ntyp = 3
/
ATOMIC_SPECIES
K 39.10 K.upf
Np 237.00 Np.upf
F 19.00 F.upf
CELL_PARAMETERS angstrom
-1.506 -3.656 -5.776
8.365 -2.374 -0.679
-2.128 -9.352 6.474
ATOMIC_POSITIONS crystal
K 0.643 0.034 0.250
K 0.357 0.966 0.750
K 0.143 0.466 0.750
K 0.857 0.534 0.250
Np 0.158 0.172 0.051
Np 0.842 0.828 0.949
Np 0.658 0.328 0.949
Np 0.842 0.828 0.551
Np 0.342 0.672 0.051
Np 0.158 0.172 0.449
Np 0.342 0.672 0.449
Np 0.658 0.328 0.551
F 0.195 0.433 0.078
F 0.805 0.567 0.922
F 0.695 0.067 0.922
F 0.805 0.567 0.578
F 0.305 0.933 0.078
F 0.195 0.433 0.422
F 0.305 0.933 0.422
F 0.695 0.067 0.578
F 0.072 0.004 0.598
F 0.928 0.996 0.402
F 0.572 0.496 0.402
F 0.928 0.996 0.098
F 0.428 0.504 0.598
F 0.072 0.004 0.902
F 0.428 0.504 0.902
F 0.572 0.496 0.098
F 0.469 0.210 0.096
F 0.531 0.790 0.904
F 0.969 0.290 0.904
F 0.531 0.790 0.596
F 0.031 0.710 0.096
F 0.469 0.210 0.404
F 0.031 0.710 0.404
F 0.969 0.290 0.596
F 0.158 0.175 0.250
F 0.842 0.825 0.750
F 0.658 0.325 0.750
F 0.342 0.675 0.250
F 0.352 0.216 0.606
F 0.648 0.784 0.394
F 0.852 0.284 0.394
F 0.648 0.784 0.106
F 0.148 0.716 0.606
F 0.352 0.216 0.894
F 0.148 0.716 0.894
F 0.852 0.284 0.106
```

=====

(4)
Below is an optimized crystal structure of CdHg3, with properties calculated at the PBE level. Values from VASP.

Results
E_tot: -0.42 eV per atom
Excess energy over the best structure of this formula in the dataset: 0 meV per atom
Energy of formation from the pure elements: 0.036 eV per atom

Geometry as Quantum ESPRESSO input:
```
&SYSTEM
  ibrav = 0, nat = 8, ntyp = 2
/
ATOMIC_SPECIES
Cd 112.41 Cd.upf
Hg 200.59 Hg.upf
CELL_PARAMETERS angstrom
3.374 -5.844 0.000
3.374 5.844 0.000
0.000 0.000 5.424
ATOMIC_POSITIONS crystal
Cd 0.333 0.667 0.750
Cd 0.667 0.333 0.250
Hg 0.167 0.335 0.250
Hg 0.665 0.833 0.250
Hg 0.167 0.833 0.250
Hg 0.833 0.665 0.750
Hg 0.335 0.167 0.750
Hg 0.833 0.167 0.750
```

=====

(5)
Below is an optimized crystal structure of Mg14ZnCu, with properties calculated at the PBE level. Values from VASP.

Results
E_tot: -1.72 eV per atom
Energy of formation from the pure elements: 0.012 eV per atom

Geometry as Quantum ESPRESSO input:
```
&SYSTEM
  ibrav = 0, nat = 16, ntyp = 3
/
ATOMIC_SPECIES
Mg 24.30 Mg.upf
Zn 65.41 Zn.upf
Cu 63.55 Cu.upf
CELL_PARAMETERS angstrom
-0.845 4.895 -3.792
-4.936 -2.909 2.495
0.349 6.143 7.853
ATOMIC_POSITIONS crystal
Mg 0.166 0.833 0.125
Mg 0.164 0.832 0.625
Mg 0.667 0.334 0.125
Mg 0.668 0.336 0.625
Mg 0.667 0.833 0.125
Mg 0.668 0.832 0.625
Mg 0.329 0.171 0.378
Mg 0.329 0.171 0.872
Mg 0.329 0.657 0.378
Mg 0.329 0.657 0.872
Mg 0.843 0.171 0.378
Mg 0.843 0.171 0.872
Mg 0.833 0.667 0.375
Mg 0.833 0.667 0.875
Zn 0.167 0.333 0.125
Cu 0.167 0.333 0.625
```

=====

(6)
Below is an optimized crystal structure of YPS, with properties calculated at the PBE level. Values from VASP.

Results
E_tot: -6.90 eV per atom
Energy of formation from the pure elements: -1.725 eV per atom

Geometry as Quantum ESPRESSO input:
```
&SYSTEM
  ibrav = 0, nat = 24, ntyp = 3
/
ATOMIC_SPECIES
Y 88.91 Y.upf
P 30.97 P.upf
S 32.06 S.upf
CELL_PARAMETERS angstrom
5.324 0.000 0.000
0.000 5.394 0.000
0.000 0.000 16.791
ATOMIC_POSITIONS crystal
Y 0.250 0.484 0.362
Y 0.250 0.984 0.138
Y 0.750 0.516 0.638
Y 0.750 0.016 0.862
Y 0.250 0.015 0.646
Y 0.250 0.515 0.854
Y 0.750 0.985 0.354
Y 0.750 0.485 0.146
P 0.036 0.295 0.997
P 0.464 0.795 0.503
P 0.536 0.705 0.003
P 0.964 0.205 0.497
P 0.964 0.705 0.003
P 0.536 0.205 0.497
P 0.464 0.295 0.997
P 0.036 0.795 0.503
S 0.250 0.485 0.189
S 0.250 0.985 0.311
S 0.750 0.515 0.811
S 0.750 0.015 0.689
S 0.250 0.012 0.816
S 0.250 0.512 0.684
S 0.750 0.988 0.184
S 0.750 0.488 0.316
```

=====

(7)
Below is an optimized crystal structure of NaCaN, with properties calculated at the PBE level. Values from VASP.

Results
E_tot: -4.22 eV per atom
Energy of formation from the pure elements: -0.455 eV per atom

Geometry as Quantum ESPRESSO input:
```
&SYSTEM
  ibrav = 0, nat = 12, ntyp = 3
/
ATOMIC_SPECIES
Na 22.99 Na.upf
Ca 40.08 Ca.upf
N 14.01 N.upf
CELL_PARAMETERS angstrom
8.424 0.000 0.000
0.000 4.078 0.000
0.000 0.000 6.171
ATOMIC_POSITIONS crystal
Na 0.609 0.250 0.902
Na 0.109 0.250 0.598
Na 0.391 0.750 0.098
Na 0.891 0.750 0.402
Ca 0.638 0.250 0.428
Ca 0.138 0.250 0.072
Ca 0.362 0.750 0.572
Ca 0.862 0.750 0.928
N 0.854 0.250 0.159
N 0.354 0.250 0.341
N 0.146 0.750 0.841
N 0.646 0.750 0.659
```

=====

(8)
Below is an optimized crystal structure of Nd2Mn3FeSi4, with properties calculated at the PBE level. Values from VASP.

Results
E_tot: -7.30 eV per atom
Energy of formation from the pure elements: -0.556 eV per atom

Geometry as Quantum ESPRESSO input:
```
&SYSTEM
  ibrav = 0, nat = 10, ntyp = 4
/
ATOMIC_SPECIES
Nd 144.24 Nd.upf
Mn 54.94 Mn.upf
Fe 55.84 Fe.upf
Si 28.09 Si.upf
CELL_PARAMETERS angstrom
-0.124 -3.943 -0.307
3.873 -0.059 -0.811
2.122 -0.860 10.193
ATOMIC_POSITIONS crystal
Nd 0.500 0.000 0.751
Nd 0.000 0.500 0.249
Mn 0.000 0.000 0.500
Mn 0.000 0.000 0.000
Mn 0.500 0.500 0.500
Fe 0.500 0.500 0.000
Si 0.000 0.500 0.878
Si 0.500 0.000 0.374
Si 0.500 0.000 0.122
Si 0.000 0.500 0.626
```